# KBeH3 | the Materials Project database | PBE | optimized geometry
data_KBeH3
_chemical_formula_sum 'K4 Be4 H12'
_cell_length_a 6.8613
_cell_length_b 5.4974
_cell_length_c 9.0442
_cell_angle_alpha 90.00
_cell_angle_beta 105.89
_cell_angle_gamma 90.00
_space_group_name_H-M_alt 'P 1'
_space_group_IT_number 1
loop_
_space_group_symop_operation_xyz
'x,y,z'
loop_
_atom_site_label
_atom_site_type_symbol
_atom_site_fract_x
_atom_site_fract_y
_atom_site_fract_z
_atom_site_occupancy
K1 K 0.2309 0.2486 0.1982 1
K2 K 0.2309 0.2514 0.6982 1
K3 K 0.7691 0.7486 0.3018 1
K4 K 0.7691 0.7514 0.8018 1
Be1 Be 0.2459 0.7441 0.9970 1
Be2 Be 0.2459 0.7559 0.4970 1
Be3 Be 0.7541 0.2441 0.5030 1
Be4 Be 0.7541 0.2559 0.0030 1
H1 H 0.1611 0.5329 0.9195 1
H2 H 0.1611 0.9671 0.4195 1
H3 H 0.1828 0.5272 0.4335 1
H4 H 0.1828 0.9728 0.9335 1
H5 H 0.3757 0.7259 0.1461 1
H6 H 0.3757 0.7741 0.6461 1
H7 H 0.6243 0.2259 0.3539 1
H8 H 0.6243 0.2741 0.8539 1
H9 H 0.8172 0.0272 0.0665 1
H10 H 0.8172 0.4728 0.5665 1
H11 H 0.8389 0.0329 0.5805 1
H12 H 0.8389 0.4671 0.0805 1
# E, eV/f.u.: -15.51
# Calculated formation energy, meV/atom: -203
# Spin magnetization, μB/cell: 0.0

---

# Tl2BiSbTe4 | the Materials Project database | PBE | optimized geometry
data_Tl2BiSbTe4
_chemical_formula_sum 'Tl2 Bi1 Sb1 Te4'
_cell_length_a 7.8722
_cell_length_b 4.5427
_cell_length_c 8.4372
_cell_angle_alpha 90.00
_cell_angle_beta 108.28
_cell_angle_gamma 90.00
_space_group_name_H-M_alt 'P 1'
_space_group_IT_number 1
loop_
_space_group_symop_operation_xyz
'x,y,z'
loop_
_atom_site_label
_atom_site_type_symbol
_atom_site_fract_x
_atom_site_fract_y
_atom_site_fract_z
_atom_site_occupancy
Tl1 Tl 0.0000 0.0000 0.0000 1
Tl2 Tl 0.5000 0.5000 0.0000 1
Bi1 Bi 0.0000 0.5000 0.5000 1
Sb1 Sb 0.5000 0.0000 0.5000 1
Te1 Te 0.2449 0.0000 0.7186 1
Te2 Te 0.2660 0.5000 0.2840 1
Te3 Te 0.7340 0.5000 0.7160 1
Te4 Te 0.7551 0.0000 0.2814 1
# E, eV/f.u.: -27.47
# Calculated formation energy, meV/atom: -480
# Spin magnetization, μB/cell: 0.0

---

Question: Number 1 is which compound?
Answer: KBeH3

---

Question: Which of these has the lowest calculated formation energy?
Answer: Tl2BiSbTe4

---

Please write out number 1 again, unchanged.
# KBeH3 | the Materials Project database | PBE | optimized geometry
data_KBeH3
_chemical_formula_sum 'K4 Be4 H12'
_cell_length_a 6.8613
_cell_length_b 5.4974
_cell_length_c 9.0442
_cell_angle_alpha 90.00
_cell_angle_beta 105.89
_cell_angle_gamma 90.00
_space_group_name_H-M_alt 'P 1'
_space_group_IT_number 1
loop_
_space_group_symop_operation_xyz
'x,y,z'
loop_
_atom_site_label
_atom_site_type_symbol
_atom_site_fract_x
_atom_site_fract_y
_atom_site_fract_z
_atom_site_occupancy
K1 K 0.2309 0.2486 0.1982 1
K2 K 0.2309 0.2514 0.6982 1
K3 K 0.7691 0.7486 0.3018 1
K4 K 0.7691 0.7514 0.8018 1
Be1 Be 0.2459 0.7441 0.9970 1
Be2 Be 0.2459 0.7559 0.4970 1
Be3 Be 0.7541 0.2441 0.5030 1
Be4 Be 0.7541 0.2559 0.0030 1
H1 H 0.1611 0.5329 0.9195 1
H2 H 0.1611 0.9671 0.4195 1
H3 H 0.1828 0.5272 0.4335 1
H4 H 0.1828 0.9728 0.9335 1
H5 H 0.3757 0.7259 0.1461 1
H6 H 0.3757 0.7741 0.6461 1
H7 H 0.6243 0.2259 0.3539 1
H8 H 0.6243 0.2741 0.8539 1
H9 H 0.8172 0.0272 0.0665 1
H10 H 0.8172 0.4728 0.5665 1
H11 H 0.8389 0.0329 0.5805 1
H12 H 0.8389 0.4671 0.0805 1
# E, eV/f.u.: -15.51
# Calculated formation energy, meV/atom: -203
# Spin magnetization, μB/cell: 0.0